(1)
A relaxed structure of Li6Mn3CoO10. Source: the Materials Project, functional GGA+U.

Unit cell a=7.6059 b=7.6059 c=5.1918 alpha=82.61 beta=82.61 gamma=140.02
Fractional positions:
Li: 0.9018 0.0982 0.5000
Li: 0.3010 0.6990 0.5000
Li: 0.7014 0.2986 0.5000
Li: 0.0994 0.9006 0.5000
Li: 0.4964 0.5036 0.5000
Li: 0.3992 0.6008 0.0000
Mn: 0.0000 0.0000 0.0000
Mn: 0.8002 0.1998 0.0000
Mn: 0.5990 0.4010 0.0000
Co: 0.2017 0.7983 0.0000
O: 0.6808 0.8805 0.2351
O: 0.0398 0.4531 0.2113
O: 0.4766 0.0710 0.2341
O: 0.8753 0.6770 0.2315
O: 0.2453 0.2363 0.2155
O: 0.1195 0.3192 0.7649
O: 0.5469 0.9602 0.7887
O: 0.9290 0.5234 0.7659
O: 0.3230 0.1247 0.7685
O: 0.7637 0.7547 0.7845

Summary:
**Symmetry**: C2 (5)
**Excess energy over the best structure of this formula in the dataset**: 0.0146 eV/atom
**Crystal system**: monoclinic

***

(2)
A relaxed structure of Li7Mn2Co3O12. Source: the Materials Project, functional GGA+U.

Unit cell a=2.9990 b=2.9990 c=29.5709 alpha=87.49 beta=87.49 gamma=56.98
Fractional positions:
Li: 0.3216 0.3216 0.9123
Li: 0.0112 0.0112 0.7518
Li: 0.6696 0.6696 0.5851
Li: 0.3302 0.3302 0.4152
Li: 0.0015 0.0015 0.2510
Li: 0.6678 0.6678 0.0850
Li: 0.6681 0.6681 0.8325
Mn: 0.9965 0.9965 0.0013
Mn: 0.0008 0.0008 0.5001
Co: 0.3359 0.3359 0.6658
Co: 0.6664 0.6664 0.3329
Co: 0.3331 0.3331 0.1675
O: 0.6516 0.6516 0.9650
O: 0.3328 0.3328 0.7888
O: 0.9855 0.9855 0.6289
O: 0.6419 0.6419 0.4609
O: 0.3127 0.3127 0.2960
O: 0.0014 0.0014 0.1298
O: 0.0005 0.0005 0.8759
O: 0.6781 0.6781 0.6998
O: 0.3592 0.3592 0.5392
O: 0.0201 0.0201 0.3698
O: 0.6640 0.6640 0.2051
O: 0.3494 0.3494 0.0402

Summary:
**Symmetry**: Cm (8)
**Excess energy over the best structure of this formula in the dataset**: 0.1644 eV/atom
**Crystal system**: monoclinic

***

(3)
A relaxed structure of Li7Mn4CoO12. Source: the Materials Project, functional GGA+U.

Unit cell a=3.0123 b=5.0890 c=14.5328 alpha=87.37 beta=86.63 gamma=88.50
Fractional positions:
Li: 0.9998 0.3352 0.1654
Li: 0.4986 0.1593 0.3322
Li: 0.0129 0.0078 0.5083
Li: 0.5069 0.8514 0.6687
Li: 0.9833 0.6583 0.8287
Li: 0.4973 0.5014 0.9973
Li: 0.0023 0.3241 0.6674
Mn: 0.9792 0.0022 0.9948
Mn: 0.5148 0.4934 0.5081
Mn: 0.4996 0.8339 0.1658
Mn: 0.0201 0.6702 0.3366
Co: 0.4859 0.1717 0.8226
O: 0.5131 0.1459 0.0819
O: 0.0368 0.9853 0.2509
O: 0.5518 0.8111 0.4171
O: 0.9905 0.6419 0.5741
O: 0.4988 0.4702 0.7586
O: 0.9595 0.3096 0.9151
O: 0.4776 0.5193 0.2505
O: 0.0386 0.3654 0.4265
O: 0.5005 0.1870 0.5777
O: 0.0114 0.0034 0.7562
O: 0.4600 0.8648 0.9147
O: 0.9608 0.6871 0.0807

Summary:
**Symmetry**: P1 (1)
**Excess energy over the best structure of this formula in the dataset**: 0.0761 eV/atom
**Crystal system**: triclinic

***

(4)
A relaxed structure of Li7Mn4CoO12. Source: the Materials Project, functional GGA+U.

Unit cell a=2.8882 b=7.9173 c=19.6082 alpha=80.86 beta=90.00 gamma=100.51
Fractional positions:
Li: 0.6661 0.3321 0.9998
Li: 0.6679 0.3358 0.4994
Li: 0.4176 0.8353 0.1264
Li: 0.4212 0.8423 0.6265
Li: 0.9152 0.8303 0.3755
Li: 0.9126 0.8251 0.8734
Li: 0.2402 0.4803 0.3779
Li: 0.2383 0.4767 0.8804
Li: 0.1009 0.2020 0.1194
Li: 0.0954 0.1905 0.6198
Li: 0.7441 0.4881 0.1225
Li: 0.7516 0.5030 0.6233
Li: 0.5853 0.1705 0.3759
Li: 0.5818 0.1636 0.8771
Mn: 0.0044 0.0085 0.9985
Mn: 0.3291 0.6584 0.5023
Mn: 0.8306 0.6618 0.7522
Mn: 0.5028 0.0049 0.7478
Mn: 0.0061 0.0118 0.4977
Mn: 0.3287 0.6573 0.0017
Mn: 0.8291 0.6577 0.2544
Mn: 0.5028 0.0077 0.2484
Co: 0.1667 0.3333 0.7501
Co: 0.1663 0.3327 0.2465
O: 0.5338 0.0677 0.0559
O: 0.5370 0.0737 0.5546
O: 0.7991 0.5981 0.4452
O: 0.7977 0.5952 0.9446
O: 0.3648 0.7292 0.3101
O: 0.3648 0.7300 0.8105
O: 0.9498 0.9000 0.1991
O: 0.9689 0.9373 0.6893
O: 0.2233 0.4466 0.0573
O: 0.2236 0.4473 0.5580
O: 0.1113 0.2224 0.4412
O: 0.1100 0.2200 0.9426
O: 0.8774 0.7547 0.0534
O: 0.8789 0.7578 0.5533
O: 0.4564 0.9126 0.4465
O: 0.4554 0.9109 0.9468
O: 0.7150 0.4299 0.3076
O: 0.6976 0.3949 0.8081
O: 0.6256 0.2515 0.1844
O: 0.6360 0.2718 0.6920
O: 0.0344 0.0703 0.3076
O: 0.0342 0.0678 0.8067
O: 0.3008 0.6012 0.1954
O: 0.2993 0.5990 0.6933

Summary:
**Symmetry**: Cm (8)
**Excess energy over the best structure of this formula in the dataset**: 0.0419 eV/atom
**Crystal system**: monoclinic

***

(5)
A relaxed structure of Li4MnCo2O7. Source: the Materials Project, functional GGA+U.

Unit cell a=2.9364 b=6.5842 c=13.5385 alpha=84.79 beta=86.84 gamma=77.26
Fractional positions:
Li: 0.1512 0.9150 0.7836
Li: 0.9833 0.5102 0.4999
Li: 0.8576 0.0695 0.2147
Li: 0.5762 0.2163 0.6413
Li: 0.4224 0.7855 0.3593
Li: 0.2687 0.3606 0.0765
Li: 0.7412 0.6404 0.9198
Li: 0.8313 0.5815 0.7183
Mn: 0.0062 0.9994 0.9991
Mn: 0.4340 0.2974 0.8509
Co: 0.7166 0.1357 0.4301
Co: 0.5729 0.7157 0.1452
Co: 0.2846 0.8409 0.5768
Co: 0.1476 0.4257 0.2871
O: 0.6009 0.9806 0.8946
O: 0.4124 0.5693 0.6000
O: 0.2865 0.1114 0.3291
O: 0.9788 0.2557 0.7606
O: 0.8730 0.8303 0.4713
O: 0.7192 0.3986 0.1857
O: 0.1480 0.6865 0.0446
O: 0.6778 0.8960 0.6689
O: 0.5709 0.4535 0.3865
O: 0.4049 0.0325 0.1023
O: 0.1441 0.1566 0.5326
O: 0.9962 0.7425 0.2454
O: 0.8975 0.3100 0.9511
O: 0.2959 0.5828 0.8247

Summary:
**Symmetry**: P1 (1)
**Excess energy over the best structure of this formula in the dataset**: 0.0568 eV/atom
**Crystal system**: triclinic

***

(6)
A relaxed structure of Li7Mn2Co3O12. Source: the Materials Project, functional GGA+U.

Unit cell a=5.0448 b=6.5020 c=6.6592 alpha=83.65 beta=81.61 gamma=83.55
Fractional positions:
Li: 0.7422 0.7569 0.7485
Li: 0.7470 0.4117 0.0768
Li: 0.2569 0.9218 0.5944
Li: 0.2633 0.5750 0.9147
Li: 0.7416 0.0859 0.4210
Li: 0.2521 0.2496 0.2449
Li: 0.5012 0.1641 0.8350
Mn: 0.0042 0.0015 0.9936
Mn: 0.9982 0.6678 0.3342
Co: 0.9897 0.3318 0.6772
Co: 0.4994 0.8369 0.1596
Co: 0.4975 0.4898 0.5090
O: 0.8754 0.7189 0.0619
O: 0.8805 0.3927 0.3779
O: 0.3496 0.8804 0.8866
O: 0.3627 0.5684 0.2143
O: 0.8901 0.0402 0.7295
O: 0.3668 0.2304 0.5368
O: 0.6447 0.7732 0.4512
O: 0.6416 0.4564 0.7801
O: 0.1215 0.9475 0.2729
O: 0.1247 0.6278 0.5998
O: 0.6378 0.0948 0.1243
O: 0.1116 0.2763 0.9558

Summary:
**Symmetry**: P1 (1)
**Excess energy over the best structure of this formula in the dataset**: 0.0457 eV/atom
**Crystal system**: triclinic

***

- Among the records above, which one has the lowest excess energy over the best structure of this formula in the dataset?
  Li6Mn3CoO10